1.
Computed, not measured: crystalline UMo2H2O9 at its relaxed geometry at the GGA+U level of DFT.

total magnetization: 0.635 μB/f.u.
symmetry: C2/c, No. 15
energy relative to the elements: -1.774 eV per atom

Lattice parameters (Å, degrees): 18.512 18.512 11.572 90.53 90.53 21.12
Fractional positions:
1 U 0.141 0.527 0.582
2 U 0.196 0.804 0.750
3 U 0.473 0.859 0.918
4 U 0.527 0.141 0.082
5 U 0.804 0.196 0.250
6 U 0.859 0.473 0.418
7 Mo 0.011 0.682 0.239
8 Mo 0.014 0.344 0.074
9 Mo 0.318 0.989 0.261
10 Mo 0.321 0.654 0.092
11 Mo 0.344 0.014 0.574
12 Mo 0.346 0.679 0.408
13 Mo 0.654 0.321 0.592
14 Mo 0.656 0.986 0.426
15 Mo 0.679 0.346 0.908
16 Mo 0.682 0.011 0.739
17 Mo 0.986 0.656 0.926
18 Mo 0.989 0.318 0.761
19 H 0.022 0.763 0.934
20 H 0.057 0.392 0.766
21 H 0.237 0.978 0.566
22 H 0.312 0.570 0.397
23 H 0.392 0.057 0.266
24 H 0.430 0.688 0.103
25 H 0.570 0.312 0.897
26 H 0.608 0.943 0.734
27 H 0.688 0.430 0.603
28 H 0.763 0.022 0.434
29 H 0.943 0.608 0.234
30 H 0.978 0.237 0.066
31 O 0.019 0.309 0.233
32 O 0.023 0.316 0.603
33 O 0.056 0.395 0.079
34 O 0.058 0.729 0.248
35 O 0.085 0.915 0.126
36 O 0.085 0.915 0.374
37 O 0.089 0.481 0.588
38 O 0.102 0.230 0.918
39 O 0.155 0.747 0.761
40 O 0.180 0.587 0.574
41 O 0.230 0.102 0.418
42 O 0.247 0.422 0.958
43 O 0.249 0.420 0.206
44 O 0.253 0.845 0.739
45 O 0.271 0.942 0.252
46 O 0.272 0.609 0.083
47 O 0.309 0.019 0.733
48 O 0.316 0.023 0.103
49 O 0.349 0.643 0.564
50 O 0.357 0.651 0.936
51 O 0.391 0.728 0.417
52 O 0.395 0.056 0.579
53 O 0.413 0.820 0.926
54 O 0.420 0.249 0.706
55 O 0.422 0.247 0.458
56 O 0.435 0.565 0.250
57 O 0.481 0.089 0.088
58 O 0.519 0.911 0.912
59 O 0.565 0.435 0.750
60 O 0.578 0.753 0.542
61 O 0.580 0.751 0.294
62 O 0.587 0.180 0.074
63 O 0.605 0.944 0.421
64 O 0.609 0.272 0.583
65 O 0.643 0.349 0.064
66 O 0.651 0.357 0.436
67 O 0.684 0.977 0.897
68 O 0.691 0.981 0.267
69 O 0.728 0.391 0.917
70 O 0.729 0.058 0.748
71 O 0.747 0.155 0.261
72 O 0.751 0.580 0.794
73 O 0.753 0.578 0.042
74 O 0.770 0.898 0.582
75 O 0.820 0.413 0.426
76 O 0.845 0.253 0.239
77 O 0.898 0.770 0.082
78 O 0.911 0.519 0.412
79 O 0.915 0.085 0.626
80 O 0.915 0.085 0.874
81 O 0.942 0.271 0.752
82 O 0.944 0.605 0.921
83 O 0.977 0.684 0.397
84 O 0.981 0.691 0.767

---

2.
Computed, not measured: crystalline Li4Nb3Fe3Sb2O16 at its relaxed geometry at the GGA+U level of DFT.

total magnetization: 13.000 μB/f.u.
symmetry: P1, No. 1
energy relative to the elements: -2.301 eV per atom
energy above the most stable polymorph in this dataset: 0 meV/atom

Lattice parameters (Å, degrees): 6.156 6.226 10.555 89.26 89.78 61.08
Fractional positions:
1 Li 0.000 0.000 0.000
2 Li 0.001 0.999 0.516
3 Li 0.329 0.339 0.104
4 Li 0.660 0.676 0.614
5 Nb 0.177 0.648 0.772
6 Nb 0.341 0.821 0.284
7 Nb 0.838 0.821 0.284
8 Fe 0.176 0.164 0.787
9 Fe 0.661 0.163 0.787
10 Fe 0.835 0.330 0.298
11 Sb 0.358 0.282 0.506
12 Sb 0.680 0.648 0.979
13 O 0.007 0.991 0.185
14 O 0.017 0.985 0.695
15 O 0.018 0.499 0.677
16 O 0.139 0.717 0.395
17 O 0.172 0.131 0.407
18 O 0.309 0.358 0.894
19 O 0.326 0.841 0.893
20 O 0.464 0.040 0.658
21 O 0.478 0.505 0.677
22 O 0.487 0.525 0.192
23 O 0.510 0.984 0.186
24 O 0.652 0.693 0.396
25 O 0.698 0.129 0.409
26 O 0.845 0.833 0.897
27 O 0.858 0.312 0.895
28 O 0.984 0.527 0.190

---

3.
Computed, not measured: crystalline K2CoP4H8O16 at its relaxed geometry at the GGA+U level of DFT.

total magnetization: 3.000 μB/f.u.
energy relative to the elements: -2.089 eV per atom
energy above the most stable polymorph in this dataset: 0 meV/atom

Lattice parameters (Å, degrees): 6.996 22.270 9.830 91.24 81.62 93.15
Fractional positions:
1 O 0.590 0.325 0.976
2 O 0.092 0.855 0.632
3 O 0.741 0.820 0.423
4 O 0.092 0.853 0.376
5 O 0.592 0.353 0.376
6 O 0.155 0.594 0.961
7 O 0.451 0.005 0.718
8 O 0.345 0.906 0.039
9 O 0.596 0.156 0.538
10 O 0.704 0.256 0.219
11 O 0.408 0.645 0.368
12 O 0.991 0.070 0.922
13 O 0.759 0.680 0.577
14 O 0.323 0.581 0.169
15 O 0.843 0.605 0.131
16 O 0.757 0.055 0.507
17 O 0.157 0.395 0.869
18 O 0.492 0.195 0.992
19 O 0.259 0.180 0.577
20 O 0.573 0.830 0.671
21 O 0.823 0.081 0.170
22 O 0.743 0.445 0.493
23 O 0.796 0.244 0.781
24 O 0.343 0.105 0.131
25 O 0.073 0.330 0.670
26 O 0.846 0.406 0.039
27 O 0.243 0.945 0.493
28 O 0.992 0.695 0.992
29 O 0.654 0.094 0.961
30 O 0.910 0.175 0.024
31 O 0.008 0.305 0.008
32 O 0.658 0.897 0.125
33 O 0.410 0.675 0.024
34 O 0.408 0.647 0.624
35 O 0.090 0.825 0.976
36 O 0.592 0.355 0.632
37 O 0.509 0.430 0.078
38 O 0.342 0.103 0.875
39 O 0.508 0.805 0.008
40 O 0.161 0.424 0.524
41 O 0.158 0.397 0.125
42 O 0.404 0.844 0.462
43 O 0.257 0.555 0.507
44 O 0.908 0.145 0.368
45 O 0.296 0.744 0.780
46 O 0.009 0.930 0.078
47 O 0.549 0.995 0.282
48 O 0.177 0.919 0.831
49 O 0.241 0.320 0.423
50 O 0.049 0.495 0.282
51 O 0.839 0.576 0.476
52 O 0.677 0.419 0.830
53 O 0.427 0.170 0.330
54 O 0.908 0.147 0.624
55 O 0.842 0.603 0.875
56 O 0.096 0.656 0.538
57 O 0.661 0.924 0.524
58 O 0.951 0.505 0.718
59 O 0.204 0.756 0.220
60 O 0.339 0.076 0.476
61 O 0.657 0.895 0.869
62 O 0.927 0.670 0.330
63 O 0.904 0.344 0.462
64 O 0.491 0.570 0.922
65 K 0.123 0.241 0.221
66 K 0.125 0.009 0.280
67 K 0.622 0.741 0.221
68 K 0.626 0.509 0.280
69 K 0.377 0.259 0.779
70 K 0.874 0.991 0.720
71 K 0.878 0.759 0.779
72 K 0.375 0.491 0.720
73 H 0.611 0.224 0.264
74 H 0.168 0.794 0.269
75 H 0.632 0.381 0.716
76 H 0.390 0.776 0.736
77 H 0.641 0.027 0.237
78 H 0.136 0.086 0.906
79 H 0.637 0.586 0.906
80 H 0.416 0.043 0.768
81 H 0.117 0.369 0.785
82 H 0.863 0.914 0.094
83 H 0.868 0.119 0.284
84 H 0.110 0.724 0.264
85 H 0.359 0.973 0.763
86 H 0.859 0.473 0.763
87 H 0.617 0.869 0.785
88 H 0.132 0.881 0.716
89 H 0.383 0.131 0.215
90 H 0.889 0.276 0.736
91 H 0.363 0.414 0.094
92 H 0.141 0.527 0.237
93 H 0.332 0.706 0.731
94 H 0.084 0.457 0.232
95 H 0.669 0.294 0.269
96 H 0.115 0.164 0.594
97 H 0.584 0.957 0.232
98 H 0.368 0.619 0.284
99 H 0.385 0.336 0.406
100 H 0.883 0.631 0.215
101 H 0.885 0.836 0.406
102 H 0.916 0.543 0.768
103 H 0.614 0.664 0.594
104 H 0.831 0.206 0.731
105 P 0.798 0.122 0.512
106 P 0.603 0.858 0.527
107 P 0.647 0.392 0.974
108 P 0.201 0.878 0.488
109 P 0.702 0.378 0.488
110 P 0.049 0.372 0.012
111 P 0.451 0.128 0.988
112 P 0.353 0.608 0.026
113 P 0.147 0.892 0.974
114 P 0.298 0.622 0.512
115 P 0.952 0.628 0.988
116 P 0.853 0.108 0.026
117 P 0.103 0.358 0.527
118 P 0.897 0.642 0.473
119 P 0.548 0.872 0.012
120 P 0.397 0.142 0.473
121 Co 0.000 0.500 0.500
122 Co 0.250 0.750 0.000
123 Co 0.500 0.000 0.500
124 Co 0.750 0.250 0.000

---

4.
Computed, not measured: crystalline YCoW2O8 at its relaxed geometry at the GGA+U level of DFT.

total magnetization: 2.000 μB/f.u.
symmetry: P1, No. 1
energy relative to the elements: -2.311 eV per atom
energy above the most stable polymorph in this dataset: 105 meV/atom

Lattice parameters (Å, degrees): 5.092 5.964 6.066 109.17 90.15 112.23
Fractional positions:
1 Y 0.000 0.000 0.000
2 Co 0.495 0.007 0.506
3 W 0.242 0.481 0.666
4 W 0.758 0.519 0.335
5 O 0.157 0.698 0.468
6 O 0.221 0.728 0.933
7 O 0.259 0.233 0.775
8 O 0.345 0.295 0.331
9 O 0.654 0.705 0.669
10 O 0.742 0.766 0.224
11 O 0.780 0.273 0.069
12 O 0.843 0.304 0.533

---

5.
Computed, not measured: crystalline KFe3As4H2O16 at its relaxed geometry at the GGA+U level of DFT.

total magnetization: 14.999 μB/f.u.
symmetry: C2/c, No. 15
energy relative to the elements: -1.717 eV per atom

Lattice parameters (Å, degrees): 10.266 10.266 11.138 99.86 99.86 38.02
Fractional positions:
1 K 0.162 0.838 0.750
2 K 0.838 0.162 0.250
3 Fe 0.000 0.500 0.000
4 Fe 0.331 0.368 0.775
5 Fe 0.368 0.331 0.275
6 Fe 0.500 0.000 0.500
7 Fe 0.632 0.669 0.725
8 Fe 0.669 0.632 0.225
9 As 0.179 0.215 0.730
10 As 0.215 0.179 0.230
11 As 0.259 0.582 0.052
12 As 0.418 0.741 0.448
13 As 0.582 0.259 0.552
14 As 0.741 0.418 0.948
15 As 0.785 0.821 0.770
16 As 0.821 0.785 0.270
17 H 0.204 0.723 0.403
18 H 0.277 0.796 0.097
19 H 0.723 0.204 0.903
20 H 0.796 0.277 0.597
21 O 0.032 0.669 0.035
22 O 0.034 0.674 0.752
23 O 0.075 0.633 0.315
24 O 0.160 0.822 0.090
25 O 0.178 0.840 0.410
26 O 0.205 0.320 0.861
27 O 0.234 0.287 0.137
28 O 0.287 0.234 0.637
29 O 0.320 0.205 0.361
30 O 0.326 0.966 0.748
31 O 0.331 0.968 0.465
32 O 0.367 0.925 0.185
33 O 0.386 0.470 0.919
34 O 0.412 0.426 0.666
35 O 0.426 0.412 0.166
36 O 0.470 0.386 0.419
37 O 0.530 0.614 0.581
38 O 0.574 0.588 0.834
39 O 0.588 0.574 0.334
40 O 0.614 0.530 0.081
41 O 0.633 0.075 0.815
42 O 0.669 0.032 0.535
43 O 0.674 0.034 0.252
44 O 0.680 0.795 0.639
45 O 0.713 0.766 0.363
46 O 0.766 0.713 0.863
47 O 0.795 0.680 0.139
48 O 0.822 0.160 0.590
49 O 0.840 0.178 0.910
50 O 0.925 0.367 0.685
51 O 0.966 0.326 0.248
52 O 0.968 0.331 0.965

---

6.
Computed, not measured: crystalline La2WO6 at its relaxed geometry at the GGA+U level of DFT.

total magnetization: 0.000 μB/f.u.
symmetry: Pmn2_1, No. 31
energy relative to the elements: -3.289 eV per atom

Lattice parameters (Å, degrees): 16.781 8.930 5.597 90.00 90.00 90.00
Fractional positions:
1 La 0.000 0.041 0.000
2 La 0.000 0.710 0.410
3 La 0.160 0.005 0.500
4 La 0.181 0.342 0.031
5 La 0.319 0.658 0.531
6 La 0.340 0.995 0.000
7 La 0.500 0.290 0.910
8 La 0.500 0.959 0.500
9 La 0.660 0.995 0.000
10 La 0.681 0.658 0.531
11 La 0.819 0.342 0.031
12 La 0.840 0.005 0.500
13 W 0.000 0.247 0.515
14 W 0.168 0.732 0.982
15 W 0.332 0.268 0.482
16 W 0.500 0.753 0.015
17 W 0.668 0.268 0.482
18 W 0.832 0.732 0.982
19 O 0.000 0.008 0.530
20 O 0.000 0.451 0.533
21 O 0.080 0.213 0.266
22 O 0.084 0.212 0.754
23 O 0.096 0.877 0.162
24 O 0.099 0.770 0.716
25 O 0.110 0.582 0.143
26 O 0.230 0.571 0.852
27 O 0.242 0.799 0.232
28 O 0.245 0.862 0.766
29 O 0.255 0.138 0.266
30 O 0.258 0.201 0.732
31 O 0.270 0.429 0.352
32 O 0.390 0.418 0.643
33 O 0.401 0.230 0.216
34 O 0.404 0.123 0.662
35 O 0.416 0.788 0.254
36 O 0.420 0.787 0.766
37 O 0.500 0.549 0.033
38 O 0.500 0.992 0.030
39 O 0.580 0.787 0.766
40 O 0.584 0.788 0.254
41 O 0.596 0.123 0.662
42 O 0.599 0.230 0.216
43 O 0.610 0.418 0.643
44 O 0.730 0.429 0.352
45 O 0.742 0.201 0.732
46 O 0.745 0.138 0.266
47 O 0.755 0.862 0.766
48 O 0.758 0.799 0.232
49 O 0.770 0.571 0.852
50 O 0.890 0.582 0.143
51 O 0.901 0.770 0.716
52 O 0.904 0.877 0.162
53 O 0.916 0.212 0.754
54 O 0.920 0.213 0.266

---

7.
Computed, not measured: crystalline Cs2WO2F4 at its relaxed geometry at the GGA+U level of DFT.

symmetry: C2/m, No. 12
energy relative to the elements: -2.691 eV per atom

Lattice parameters (Å, degrees): 6.400 6.400 5.152 91.72 91.72 60.41
Fractional positions:
1 Cs 0.170 0.170 0.311
2 Cs 0.830 0.830 0.689
3 W 0.500 0.500 0.000
4 O 0.361 0.361 0.794
5 O 0.639 0.639 0.206
6 F 0.209 0.649 0.214
7 F 0.351 0.791 0.786
8 F 0.649 0.209 0.214
9 F 0.791 0.351 0.786

---

8.
Computed, not measured: crystalline Mn7PbO12 at its relaxed geometry at the GGA+U level of DFT.

total magnetization: 26.998 μB/f.u.
symmetry: Im-3, No. 204
energy relative to the elements: -1.914 eV per atom
energy above the most stable polymorph in this dataset: 0 meV/atom

Lattice parameters (Å, degrees): 6.555 6.555 6.555 109.47 109.47 109.47
Fractional positions:
1 Mn 0.000 0.000 0.500
2 Mn 0.000 0.500 0.000
3 Mn 0.000 0.500 0.500
4 Mn 0.500 0.000 0.000
5 Mn 0.500 0.000 0.500
6 Mn 0.500 0.500 0.000
7 Mn 0.500 0.500 0.500
8 Pb 0.000 0.000 0.000
9 O 0.131 0.313 0.818
10 O 0.182 0.494 0.313
11 O 0.182 0.869 0.687
12 O 0.313 0.182 0.494
13 O 0.313 0.818 0.131
14 O 0.494 0.313 0.182
15 O 0.506 0.687 0.818
16 O 0.687 0.182 0.869
17 O 0.687 0.818 0.506
18 O 0.818 0.131 0.313
19 O 0.818 0.506 0.687
20 O 0.869 0.687 0.182